No. 1
Entry from the Materials Project: a geometry-optimized Si3N4 structure (PBE-GGA).

Unit cell a=11.1810 b=10.8342 c=10.0527 alpha=87.84 beta=86.80 gamma=91.36
With the nearest neighbours (Å) after each atom.
Element x y z (fractional)
Si: 0.9686 0.4644 0.5555  3 N 1.74-1.77
Si: 0.5481 0.7981 0.5109  1 N 1.61
Si: 0.3736 0.0369 0.1326  3 N 1.64-1.78
Si: 0.0218 0.2941 0.3473  4 N 1.73-1.82
Si: 0.4113 0.6344 0.2934  4 N 1.69-1.81
Si: 0.4427 0.3888 0.6665  3 N 1.72-1.78
Si: 0.7512 0.0585 0.7526  3 N 1.76-1.82
Si: 0.9604 0.6728 0.5023  2 N 1.75-1.77
Si: 0.1987 0.4805 0.7334  4 N 1.77-1.95
Si: 0.0125 0.7401 0.0025  4 N 1.75-1.80
Si: 0.2051 0.6293 0.5142  3 N 1.68-1.82
Si: 0.4412 0.7181 0.9940  4 N 1.74-1.93
Si: 0.6433 0.2558 0.0241  4 N 1.71-1.76
Si: 0.2972 0.3313 0.2265  4 N 1.76-1.89
Si: 0.5163 0.3206 0.4698  3 N 1.70-1.86
Si: 0.4884 0.9337 0.7826  3 N 1.67-1.81
Si: 0.6504 0.5493 0.6272  4 N 1.74-1.78
Si: 0.5499 0.9857 0.9990  2 N 1.80-1.87
Si: 0.5683 0.1412 0.2973  4 N 1.70-1.80
Si: 0.1875 0.7426 0.8351  3 N 1.71-1.85
Si: 0.0927 0.0242 0.4870  4 N 1.68-1.81
Si: 0.1577 0.3425 0.0006  3 N 1.69-1.77
Si: 0.9904 0.0761 0.2686  4 N 1.73-1.81
Si: 0.3598 0.1226 0.4278  2 N 1.61-1.73
Si: 0.4191 0.6526 0.7233  4 N 1.72-1.86
Si: 0.4377 0.1781 0.8744  4 N 1.71-1.80
Si: 0.0470 0.7915 0.3013  4 N 1.72-1.81
Si: 0.9660 0.9136 0.7817  4 N 1.71-1.78
Si: 0.8579 0.8832 0.5788  3 N 1.77-1.82
Si: 0.9565 0.4137 0.8332  4 N 1.73-1.75
Si: 0.2489 0.8142 0.1018  4 N 1.64-1.80
Si: 0.6953 0.4825 0.8609  4 N 1.73-1.80
Si: 0.8315 0.0606 0.0119  4 N 1.70-1.84
Si: 0.7086 0.1331 0.4938  3 N 1.71-1.91
Si: 0.2515 0.4088 0.4659  5 N 1.78-1.97
Si: 0.7202 0.7857 0.0940  3 N 1.70-1.80
Si: 0.9229 0.2951 0.0686  3 N 1.69-1.73
Si: 0.7555 0.9663 0.2306  4 N 1.68-1.80
Si: 0.7707 0.4712 0.3723  4 N 1.72-1.82
Si: 0.7017 0.7760 0.8188  3 N 1.73-1.79
Si: 0.7687 0.7470 0.4108  3 N 1.76-1.79
Si: 0.3969 0.4456 0.9469  4 N 1.75-1.85
Si: 0.7716 0.2791 0.6633  2 N 1.76-1.83
Si: 0.6081 0.4235 0.1978  4 N 1.75-1.92
Si: 0.8505 0.5511 0.0755  4 N 1.70-1.80
N: 0.9128 0.7059 0.3421  3 Si 1.75-1.79
N: 0.6495 0.9287 0.7899  3 Si 1.79-1.81
N: 0.6324 0.3968 0.3844  2 Si 1.70-1.72
N: 0.7152 0.8138 0.2635  3 Si 1.72-1.76
N: 0.7505 0.5031 0.2020  3 Si 1.70-1.80
N: 0.8787 0.0311 0.8531  3 Si 1.70-1.82
N: 0.2564 0.6500 0.6918  4 Si 1.86-1.95
N: 0.6840 0.4056 0.7062  3 Si 1.76-1.80
N: 0.0717 0.8547 0.8806  3 Si 1.71-1.85
N: 0.4772 0.5090 0.2036  1 N 1.48
N: 0.0064 0.9412 0.6144  3 Si 1.73-1.82
N: 0.3857 0.4420 0.1312  1 N 1.48
N: 0.3727 0.2997 0.3873  4 Si 1.86-1.97
N: 0.4721 0.8024 0.6794  3 Si 1.75-1.85
N: 0.4326 0.0682 0.2858  3 Si 1.71-1.75
N: 0.4237 0.0696 0.7571  2 Si 1.67-1.71
N: 0.4463 0.3337 0.8295  3 Si 1.73-1.80
N: 0.1684 0.3526 0.3341  3 Si 1.74-1.78
N: 0.2933 0.3888 0.6330  3 Si 1.72-1.78
N: 0.2481 0.9548 0.1555  2 Si 1.64
N: 0.0774 0.6299 0.8918  1 N 1.43
N: 0.0457 0.9445 0.3426  3 Si 1.72-1.81
N: 0.9159 0.3588 0.6814  3 Si 1.74-1.83
N: 0.8969 0.0058 0.1562  3 Si 1.75-1.76
N: 0.7008 0.9611 0.0653  4 Si 1.80-1.93
N: 0.8578 0.7129 0.0428  3 Si 1.77-1.80
N: 0.9890 0.2278 0.1989  3 Si 1.69-1.76
N: 0.4822 0.7283 0.3951  2 Si 1.61-1.69
N: 0.7049 0.0761 0.3308  3 Si 1.68-1.78
N: 0.2460 0.4343 0.8949  3 Si 1.69-1.80
N: 0.1904 0.1522 0.8061  1 N 1.12
N: 0.5881 0.2622 0.1858  3 Si 1.70-1.77
N: 0.3022 0.5613 0.4049  3 Si 1.70-1.81
N: 0.8465 0.8114 0.7432  3 Si 1.78-1.80
N: 0.8378 0.4761 0.9254  3 Si 1.74-1.76
N: 0.9776 0.4610 0.1145  1 N 1.27
N: 0.2520 0.2451 0.0907  1 N 1.50
N: 0.5429 0.1621 0.4736  3 Si 1.75-1.91
N: 0.1330 0.1493 0.7186  1 N 1.12
N: 0.6137 0.7377 0.9913  1 Si 1.70
N: 0.7787 0.0230 0.5844  3 Si 1.71-1.77
N: 0.4359 0.5960 0.8874  3 Si 1.74-1.76
N: 0.0982 0.7554 0.1411  3 Si 1.74-1.80
N: 0.1071 0.7282 0.4522  3 Si 1.68-1.81
N: 0.7390 0.5943 0.4820  3 Si 1.76-1.79
N: 0.3682 0.7181 0.1515  3 Si 1.74-1.79
N: 0.3546 0.1741 0.0335  1 N 1.50
N: 0.7952 0.2158 0.0260  3 Si 1.73-1.76
N: 0.0912 0.4687 0.1074  1 N 1.27
N: 0.1237 0.4851 0.5586  3 Si 1.75-1.89
N: 0.2997 0.7881 0.9319  3 Si 1.71-1.90
N: 0.0564 0.5365 0.7981  1 N 1.43
N: 0.0227 0.3007 0.9314  3 Si 1.72-1.75
N: 0.5821 0.1407 0.9344  3 Si 1.72-1.80
N: 0.9142 0.4059 0.4075  3 Si 1.77-1.82
N: 0.6826 0.6255 0.7705  3 Si 1.73-1.78
N: 0.4939 0.5443 0.6311  3 Si 1.72-1.78
N: 0.0095 0.1490 0.4248  3 Si 1.73-1.81
N: 0.6142 0.4127 0.9962  2 Si 1.73-1.75
N: 0.2402 0.0544 0.4951  2 Si 1.61-1.68

Properties
excess energy over the best structure of this formula in the dataset = 0.626 eV per atom
SG = P1, No. 1
energy of formation from the pure elements = -0.674 eV/atom
E = -7.556 eV per atom
theoretical density = 2.88 g/cm³
magnetic moment = 0.00 μB per formula unit



No. 2
Entry from the Materials Project: a geometry-optimized Si3N4 structure (PBE-GGA).

Unit cell a=5.5065 b=5.5065 c=5.5065 alpha=60.00 beta=60.00 gamma=60.00
With the nearest neighbours (Å) after each atom.
Element x y z (fractional)
Si: 0.6250 0.6250 0.1250  6 N 1.89
Si: 0.6250 0.1250 0.6250  6 N 1.89
Si: 0.1250 0.6250 0.6250  6 N 1.89
Si: 0.6250 0.6250 0.6250  6 N 1.89
Si: 0.2500 0.2500 0.2500  4 N 1.79
Si: 0.0000 0.0000 0.0000  4 N 1.79
N: 0.8676 0.8676 0.8676  4 Si 1.79-1.89
N: 0.8527 0.3824 0.3824  4 Si 1.79-1.89
N: 0.3824 0.3824 0.8527  4 Si 1.79-1.89
N: 0.3824 0.8527 0.3824  4 Si 1.79-1.89
N: 0.8676 0.8676 0.3973  4 Si 1.79-1.89
N: 0.8676 0.3973 0.8676  4 Si 1.79-1.89
N: 0.3824 0.3824 0.3824  4 Si 1.79-1.89
N: 0.3973 0.8676 0.8676  4 Si 1.79-1.89

Properties
excess energy over the best structure of this formula in the dataset = 0.147 eV per atom
SG = Fd-3m, No. 227
energy of formation from the pure elements = -1.152 eV/atom
E = -8.035 eV per atom
theoretical density = 3.95 g/cm³
magnetic moment = 0.00 μB per formula unit